26
Lattice="-0.857 0.177 4.821 -16.188 0.139 -0.380 -0.089 -4.134 2.633" Properties=species:S:1:pos:R:3 comment="BaCo2P2O8 (PBE with a Hubbard U, optimized geometry)" space_group="No. 1" mass_density_g_cm3=4.46 e_tot_ev_per_fu=-90.94 delta_e_f_ev_per_atom=-2.551 relative_energy_mev_per_atom=16.8 magnetic_moment_mub_per_atom=0.000 volume_a3_per_atom=12.74 pbc="T T T"
O -3.065 -2.971 3.039
O -11.417 -1.966 3.831
O -3.279 0.035 2.708
O -5.721 -1.846 3.245
O -7.761 -3.252 3.729
O -14.071 -0.851 4.035
O -11.116 -0.829 1.533
O -11.691 -3.534 6.257
O -1.324 -2.702 4.846
O -15.806 -1.121 2.223
O -13.858 -3.848 4.370
O -9.379 -0.561 3.342
O -3.545 -1.540 5.129
O -13.582 -2.280 1.944
O -6.021 -2.991 5.539
O -5.447 -0.277 0.816
P -14.303 -0.991 2.486
P -10.881 -0.690 3.082
P -6.259 -3.126 3.992
P -2.828 -2.829 4.589
Co -4.157 -1.651 1.813
Co -12.982 -2.166 5.257
Co -4.834 -0.173 4.142
Co -12.291 -3.649 2.943
Ba -17.041 0.315 4.441
Ba -8.998 -1.820 5.947

28
Lattice="4.751 -3.169 -2.205 5.661 1.157 2.023 -1.107 -6.594 6.985" Properties=species:S:1:pos:R:3 comment="Li4Cr2Fe3Sn3O16 (PBE with a Hubbard U, optimized geometry)" space_group="No. 8" mass_density_g_cm3=4.83 e_tot_ev_per_fu=-178.44 delta_e_f_ev_per_atom=-2.023 magnetic_moment_mub_per_atom=0.714 volume_a3_per_atom=11.20 pbc="T T T"
Sn 5.635 -3.647 0.339
Sn 6.083 -1.516 2.422
Sn 0.991 -5.042 4.946
O 7.998 -5.647 4.057
O 1.596 -0.948 0.627
O 4.004 -2.594 -0.457
O 7.138 -4.711 1.360
O 2.880 -4.654 4.143
O 10.030 -4.083 2.019
O 5.171 -6.196 2.998
O 4.466 -0.395 1.692
O 6.887 -1.996 0.560
O 9.467 -7.316 5.448
O 5.028 -3.337 2.333
O 1.607 -7.052 4.917
O 2.009 -5.142 6.783
O 7.534 -2.830 3.198
O 5.629 -4.017 5.128
O 4.066 -6.509 5.786
Fe 8.417 -3.091 1.352
Fe 3.754 -4.488 5.949
Fe 3.309 -6.604 3.881
Cr 6.425 -4.575 3.299
Cr 2.435 -7.159 6.801
Li 9.765 -5.292 3.313
Li 3.043 -3.280 2.701
Li 9.197 -8.525 6.744
Li 5.987 -7.203 6.082

6
Lattice="-2.337 1.524 0.620 0.646 -0.582 -2.723 -5.603 -8.816 0.556" Properties=species:S:1:pos:R:3 comment="MoO2 (PBE with a Hubbard U, optimized geometry)" space_group="No. 194" mass_density_g_cm3=5.74 e_tot_ev_per_fu=-21.16 delta_e_f_ev_per_atom=-1.664 magnetic_moment_mub_per_atom=0.000 volume_a3_per_atom=12.34 pbc="T T T"
O -5.213 -7.535 -1.126
O -3.887 -5.449 -1.258
O -3.406 -2.425 -0.290
O -2.081 -0.339 -0.421
Mo -1.749 -2.084 -1.470
Mo -5.545 -5.790 -0.078

46
Lattice="9.613 0.000 0.000 0.000 5.352 0.000 0.000 4.341 12.415" Properties=species:S:1:pos:R:3 comment="Li2FeP5O15 (PBE with a Hubbard U, optimized geometry)" space_group="No. 7" mass_density_g_cm3=2.42 e_tot_ev_per_fu=-159.21 delta_e_f_ev_per_atom=-2.530 relative_energy_mev_per_atom=17.1 magnetic_moment_mub_per_atom=0.217 volume_a3_per_atom=13.89 pbc="T T T"
O 0.588 1.870 4.200
O 8.261 6.244 6.054
O 3.830 2.205 2.027
O 3.261 7.491 11.010
O 3.908 5.273 4.232
O 3.985 5.878 9.339
O 3.365 4.327 7.586
O 6.352 5.320 4.803
O 0.642 5.916 1.903
O 1.477 3.416 6.348
O 4.727 6.413 7.015
O 1.117 4.479 8.643
O 5.629 3.707 3.131
O 8.971 8.086 8.111
O 9.026 4.041 10.408
O 8.551 5.387 3.647
O 1.632 5.980 6.637
O 8.496 2.308 2.436
O 7.982 3.810 0.429
O 4.647 5.431 11.702
O 1.062 7.558 9.855
O 8.219 3.734 5.529
O 1.352 8.415 12.261
O 1.395 5.905 11.736
O 8.137 1.245 0.140
O 4.967 3.261 5.494
O 6.248 2.156 1.378
O 5.706 7.444 10.440
O 5.784 4.376 8.235
O 4.887 4.242 0.807
P 9.498 1.202 3.043
P 4.564 6.526 10.687
P 1.861 4.617 7.207
P 4.630 5.286 7.997
P 1.736 7.308 11.298
P 0.115 3.372 9.251
P 5.049 4.355 4.479
P 4.984 3.115 1.790
P 7.878 5.137 5.090
P 7.753 2.446 0.999
Fe 9.529 2.342 6.122
Fe 0.084 4.513 12.330
Li 6.114 8.916 11.673
Li 3.885 0.563 0.976
Li 5.728 2.734 7.184
Li 3.499 6.745 5.465

37
Lattice="-0.180 4.992 7.172 3.027 8.245 -0.359 -5.572 6.757 0.494" Properties=species:S:1:pos:R:3 comment="MgFe3Co2SbP6O24 (PBE with a Hubbard U, optimized geometry)" space_group="No. 1" mass_density_g_cm3=3.48 e_tot_ev_per_fu=-252.03 delta_e_f_ev_per_atom=-2.215 relative_energy_mev_per_atom=66.0 magnetic_moment_mub_per_atom=0.505 volume_a3_per_atom=12.91 pbc="T T T"
O -5.038 10.513 5.912
O 0.873 5.292 0.349
O -1.643 6.243 3.070
O -3.926 6.894 1.936
O -0.036 10.364 1.813
O 2.296 9.457 1.337
O -0.164 8.837 4.921
O 1.023 5.311 2.818
O -1.174 16.700 6.576
O 1.174 13.113 5.272
O -3.035 13.631 1.818
O -2.583 11.142 2.084
O -1.766 16.647 4.088
O 0.297 6.379 5.423
O -0.910 13.513 6.511
O -1.970 8.511 2.055
O -3.780 14.492 4.315
O -0.767 11.491 4.915
O -1.391 3.354 0.590
O -1.121 3.427 3.052
O -2.750 9.651 5.162
O -3.743 14.791 6.850
O -1.882 6.328 0.611
O -0.932 13.796 3.965
Co -1.397 9.992 3.442
Co -2.506 15.011 0.265
Fe -2.260 14.988 3.234
Fe -1.679 10.029 0.406
Fe -0.714 4.977 1.577
P 1.406 10.715 1.477
P 0.998 7.848 5.117
P -3.645 12.219 1.962
P -4.138 9.148 5.608
P -0.478 12.986 5.176
P -2.385 7.060 1.878
Mg -1.097 10.022 6.240
Sb -0.460 4.995 4.220

32
Lattice="8.675 0.000 0.000 0.000 8.864 0.000 0.000 0.000 4.457" Properties=species:S:1:pos:R:3 comment="RbMg14WO16 (PBE with a Hubbard U, optimized geometry)" space_group="No. 47" mass_density_g_cm3=4.19 e_tot_ev_per_fu=-185.12 delta_e_f_ev_per_atom=-2.658 relative_energy_mev_per_atom=6.5 magnetic_moment_mub_per_atom=0.094 volume_a3_per_atom=10.71 pbc="T T T"
O 2.167 2.234 2.229
O 6.508 6.630 2.229
O 2.441 0.000 0.000
O 0.000 4.432 2.229
O 2.207 4.432 0.000
O 0.000 0.000 2.229
O 6.468 4.432 0.000
O 4.337 4.432 2.229
O 4.337 6.560 0.000
O 6.234 0.000 0.000
O 6.508 2.234 2.229
O 4.337 0.000 2.229
O 4.337 2.304 0.000
O 2.167 6.630 2.229
O 0.000 2.379 0.000
O 0.000 6.484 0.000
Mg 2.215 0.000 2.229
Mg 6.446 2.171 0.000
Mg 0.000 6.732 2.229
Mg 4.337 0.000 0.000
Mg 2.229 6.692 0.000
Mg 6.448 4.432 2.229
Mg 2.227 4.432 2.229
Mg 4.337 2.204 2.229
Mg 6.460 0.000 2.229
Mg 2.229 2.171 0.000
Mg 6.446 6.692 0.000
Mg 4.337 4.432 0.000
Mg 4.337 6.660 2.229
Mg 0.000 2.132 2.229
Rb 0.000 0.000 0.000
W 0.000 4.432 0.000

19
Lattice="-3.065 -1.762 3.831 9.611 -10.989 2.455 1.493 1.753 2.001" Properties=species:S:1:pos:R:3 comment="MgFe6O6F6 (PBE with a Hubbard U, optimized geometry)" space_group="No. 6" mass_density_g_cm3=4.02 e_tot_ev_per_fu=-112.86 delta_e_f_ev_per_atom=-2.089 relative_energy_mev_per_atom=54.3 magnetic_moment_mub_per_atom=1.474 volume_a3_per_atom=12.39 pbc="T T T"
F 0.070 -3.947 3.405
F 6.342 -10.919 4.834
F 3.316 -7.242 3.870
F 1.965 -4.915 5.165
F 2.785 -2.405 2.354
F 5.567 -8.388 5.520
Fe 3.167 -3.817 0.981
Fe 0.363 -1.838 3.664
Fe 7.419 -8.914 4.599
Fe 4.315 -5.402 3.838
Fe -0.041 -0.504 0.471
Fe 3.214 -8.929 5.423
O 7.024 -8.863 2.523
O 5.909 -5.909 3.093
O -1.231 -1.568 4.617
O 9.240 -9.828 4.041
O 3.157 -5.222 2.219
O -0.160 -1.924 1.805
Mg 5.932 -9.986 6.647

16
Lattice="-4.097 1.295 2.935 -2.673 -1.994 -4.190 3.434 -5.579 3.184" Properties=species:S:1:pos:R:3 comment="LiCrPO4F (PBE with a Hubbard U, optimized geometry)" space_group="No. 2" mass_density_g_cm3=3.23 e_tot_ev_per_fu=-55.53 delta_e_f_ev_per_atom=-2.757 relative_energy_mev_per_atom=0.0 magnetic_moment_mub_per_atom=0.375 volume_a3_per_atom=11.13 pbc="T T T"
O -4.095 -0.166 1.539
O -3.425 -2.331 0.360
O 0.089 -3.948 1.569
O -1.451 -5.806 1.611
O -2.270 -1.658 2.552
O -1.065 -4.621 -0.623
O 0.759 -6.112 0.390
O -1.885 -0.473 0.318
Cr 0.000 0.000 0.000
Cr 1.717 -2.790 1.592
P -2.912 -1.167 1.252
P -0.423 -5.112 0.677
Li -2.108 -1.933 -1.178
Li -1.228 -4.346 3.107
F -1.231 -3.114 4.627
F -2.104 -3.165 -2.699